Entry 1:
A plane-wave DFT calculation with PBE was carried out for a relaxed CsAgBr3 crystal.

Unit cell a=5.498 b=5.494 c=5.495 alpha=89.95 beta=90.00 gamma=90.00
Sites, in units of the cell vectors:
Br (0.500, 0.004, 0.511)
Ag (0.500, 0.505, 0.515)
Cs (0.000, 0.999, 0.006)
Br (0.500, 0.497, 0.015)
Br (0.000, 0.505, 0.513)

---

Entry 2:
A plane-wave DFT calculation with PBE was carried out for a relaxed Na2HfTiSi2SO12 crystal.

Unit cell a=8.953 b=8.932 c=22.584 alpha=89.99 beta=89.86 gamma=119.88
Sites, in units of the cell vectors:
S (0.952, 0.333, 0.584)
O (0.207, 0.022, 0.305)
Hf (0.665, 0.333, 0.981)
O (0.814, 0.841, 0.195)
Na (0.704, 0.671, 0.420)
O (0.844, 0.500, 0.422)
Na (0.673, 0.316, 0.337)
Si (0.712, 0.007, 0.745)
O (0.692, 0.149, 0.032)
O (0.519, 0.866, 0.079)
O (0.162, 0.178, 0.692)
O (0.182, 0.200, 0.410)
O (0.020, 0.841, 0.408)
Si (0.368, 0.329, 0.084)
O (0.972, 0.786, 0.802)
Na (0.374, 0.008, 0.753)
S (0.625, 0.669, 0.917)
O (0.546, 0.692, 0.971)
O (0.309, 0.482, 0.751)
Ti (0.666, 0.335, 0.480)
Ti (0.332, 0.669, 0.314)
O (0.134, 0.641, 0.355)
O (0.181, 0.975, 0.197)
Hf (0.318, 0.664, 0.022)
O (0.492, 0.852, 0.361)
O (0.810, 0.978, 0.407)
O (0.848, 0.357, 0.921)
Hf (0.333, 0.668, 0.811)
S (0.993, 0.706, 0.748)
O (0.157, 0.974, 0.912)
O (0.515, 0.841, 0.749)
O (0.360, 0.877, 0.853)
O (0.156, 0.456, 0.976)
S (0.285, 0.999, 0.252)
O (0.827, 0.802, 0.310)
O (0.322, 0.846, 0.971)
O (0.965, 0.172, 0.586)
O (0.450, 0.302, 0.023)
O (0.028, 0.201, 0.190)
O (0.515, 0.698, 0.258)
O (0.694, 0.530, 0.247)
Si (0.671, 0.621, 0.583)
O (0.846, 0.533, 0.742)
Hf (0.336, 0.678, 0.521)
O (0.214, 0.175, 0.807)
O (0.171, 0.164, 0.092)
Hf (0.669, 0.346, 0.190)
O (0.546, 0.840, 0.475)
Na (0.324, 0.292, 0.922)
O (0.358, 0.486, 0.363)
Si (0.041, 0.668, 0.414)
O (0.156, 0.699, 0.752)
Hf (0.004, 0.013, 0.852)
S (0.330, 0.374, 0.416)
O (0.146, 0.649, 0.080)
Ti (0.645, 0.324, 0.686)
O (0.496, 0.160, 0.919)
O (0.518, 0.645, 0.864)
O (0.807, 0.981, 0.686)
O (0.829, 0.032, 0.089)
O (0.634, 0.508, 0.920)
O (0.493, 0.366, 0.420)
Ti (0.000, 0.001, 0.645)
Si (0.373, 0.051, 0.583)
Na (0.998, 0.627, 0.254)
O (0.838, 0.817, 0.590)
Na (0.021, 0.995, 0.500)
O (0.021, 0.818, 0.695)
Ti (0.001, 0.002, 0.149)
Si (0.705, 0.719, 0.251)
O (0.462, 0.148, 0.246)
Na (0.688, 0.323, 0.832)
O (0.484, 0.175, 0.527)
O (0.989, 0.164, 0.307)
Na (0.665, 0.960, 0.587)
O (0.977, 0.825, 0.094)
O (0.128, 0.483, 0.577)
O (0.491, 0.345, 0.140)
O (0.847, 0.309, 0.530)
O (0.694, 0.181, 0.740)
O (0.363, 0.862, 0.578)
Na (0.038, 0.338, 0.089)
O (0.479, 0.308, 0.740)
O (0.655, 0.497, 0.639)
Si (0.288, 0.292, 0.747)
O (0.498, 0.640, 0.579)
O (0.875, 0.508, 0.144)
Na (0.013, 0.984, 0.003)
O (0.799, 0.818, 0.910)
Si (0.036, 0.376, 0.917)
O (0.022, 0.186, 0.912)
Ti (0.976, 0.991, 0.354)
Na (0.349, 0.656, 0.170)
O (0.494, 0.133, 0.642)
O (0.161, 0.690, 0.471)
O (0.831, 0.307, 0.248)
O (0.837, 0.535, 0.029)
O (0.874, 0.356, 0.637)
Si (0.005, 0.289, 0.251)
O (0.183, 0.030, 0.589)
O (0.297, 0.837, 0.254)
O (0.825, 0.022, 0.803)
Si (0.955, 0.635, 0.086)
O (0.143, 0.494, 0.860)
O (0.643, 0.120, 0.139)
O (0.694, 0.531, 0.522)
O (0.171, 0.485, 0.258)
Si (0.619, 0.963, 0.416)
O (0.351, 0.504, 0.081)
S (0.668, 0.040, 0.085)
Na (0.341, 0.649, 0.666)
Si (0.334, 0.962, 0.914)
O (0.641, 0.153, 0.424)
O (0.307, 0.454, 0.470)

---

Entry 3:
A plane-wave DFT calculation with PBE was carried out for a relaxed RbErSeCl2O3 crystal.

Unit cell a=7.015 b=6.606 c=17.586 alpha=74.70 beta=90.00 gamma=90.00
Sites, in units of the cell vectors:
O (0.668, 0.179, 0.743)
Cl (0.361, 0.242, 0.585)
O (0.153, 0.494, 0.224)
Cl (0.340, 0.112, 0.893)
Er (0.155, 0.139, 0.241)
O (0.332, 0.821, 0.257)
O (0.022, 0.184, 0.735)
Cl (0.160, 0.112, 0.393)
Cl (0.861, 0.758, 0.915)
Cl (0.139, 0.242, 0.085)
Rb (0.800, 0.236, 0.943)
Se (0.659, 0.370, 0.206)
Rb (0.200, 0.764, 0.057)
O (0.347, 0.494, 0.724)
O (0.653, 0.506, 0.276)
Cl (0.639, 0.758, 0.415)
O (0.478, 0.184, 0.235)
O (0.522, 0.816, 0.765)
Cl (0.840, 0.888, 0.607)
Rb (0.700, 0.236, 0.443)
Rb (0.300, 0.764, 0.557)
Cl (0.660, 0.888, 0.107)
Er (0.845, 0.861, 0.759)
Er (0.655, 0.861, 0.259)
Er (0.345, 0.139, 0.741)
O (0.832, 0.179, 0.243)
Se (0.341, 0.630, 0.794)
O (0.168, 0.821, 0.757)
O (0.847, 0.506, 0.776)
Se (0.159, 0.630, 0.294)
O (0.978, 0.816, 0.265)
Se (0.841, 0.370, 0.706)

---

Entry 4:
A plane-wave DFT calculation with PBE was carried out for a relaxed MnCoSi crystal.

Values from the calculation:
E above lowest polymorph, meV per atom: 403

Unit cell a=3.974 b=3.974 c=5.062 alpha=90.00 beta=90.00 gamma=120.00
Sites, in units of the cell vectors:
Si (0.000, 0.000, 0.000)
Si (0.000, 0.000, 0.500)
Co (0.667, 0.333, 0.750)
Mn (0.333, 0.667, 0.750)
Co (0.333, 0.667, 0.250)
Mn (0.667, 0.333, 0.250)

---

Entry 5:
A plane-wave DFT calculation with PBE was carried out for a relaxed Na3InSi3Sn3S3O24 crystal.

Unit cell a=8.907 b=8.941 c=23.082 alpha=89.73 beta=90.25 gamma=120.13
Sites, in units of the cell vectors:
O (0.537, 0.838, 0.757)
Sn (0.323, 0.655, 0.814)
O (0.973, 0.821, 0.090)
O (0.692, 0.546, 0.532)
O (0.147, 0.698, 0.470)
Sn (0.012, 0.014, 0.648)
O (0.173, 0.217, 0.694)
O (0.022, 0.199, 0.911)
Sn (0.011, 0.010, 0.145)
O (0.635, 0.112, 0.134)
O (0.477, 0.358, 0.147)
O (0.976, 0.154, 0.587)
O (0.536, 0.703, 0.971)
O (0.166, 0.666, 0.072)
O (0.791, 0.815, 0.197)
S (0.708, 0.999, 0.751)
Si (0.617, 0.951, 0.418)
O (0.373, 0.483, 0.356)
O (0.447, 0.145, 0.531)
Si (0.005, 0.714, 0.749)
O (0.814, 0.786, 0.303)
O (0.521, 0.370, 0.426)
O (0.905, 0.521, 0.140)
Sn (0.337, 0.661, 0.316)
O (0.184, 0.705, 0.757)
O (0.643, 0.496, 0.918)
O (0.183, 0.981, 0.913)
S (0.370, 0.034, 0.584)
Na (0.314, 0.655, 0.162)
Na (0.996, 0.008, 0.498)
O (0.360, 0.880, 0.864)
O (0.823, 0.313, 0.246)
Si (0.995, 0.296, 0.251)
Na (0.304, 0.648, 0.667)
O (0.210, 0.018, 0.303)
O (0.514, 0.652, 0.578)
In (0.686, 0.346, 0.180)
O (0.311, 0.838, 0.256)
Na (0.664, 0.342, 0.832)
O (0.870, 0.507, 0.423)
S (0.033, 0.368, 0.917)
O (0.686, 0.149, 0.746)
O (0.512, 0.643, 0.856)
O (0.202, 0.178, 0.811)
S (0.292, 0.994, 0.251)
O (0.833, 0.525, 0.747)
O (0.821, 0.850, 0.912)
O (0.143, 0.450, 0.969)
O (0.354, 0.863, 0.577)
O (0.854, 0.554, 0.023)
Na (0.635, 0.624, 0.754)
O (0.022, 0.819, 0.410)
O (0.783, 0.964, 0.699)
O (0.678, 0.533, 0.247)
S (0.666, 0.042, 0.081)
O (0.974, 0.196, 0.311)
O (0.815, 0.028, 0.804)
Sn (0.339, 0.659, 0.021)
S (0.709, 0.711, 0.250)
O (0.499, 0.131, 0.922)
Na (0.358, 0.361, 0.245)
O (0.452, 0.289, 0.028)
O (0.462, 0.153, 0.246)
O (0.808, 0.971, 0.416)
O (0.527, 0.842, 0.477)
O (0.307, 0.850, 0.969)
O (0.362, 0.508, 0.079)
O (0.821, 0.022, 0.087)
Si (0.627, 0.673, 0.915)
Na (0.000, 0.991, 0.003)
O (0.637, 0.528, 0.637)
Si (0.291, 0.289, 0.752)
O (0.042, 0.206, 0.196)
O (0.170, 0.181, 0.414)
Sn (0.661, 0.318, 0.481)
In (0.677, 0.339, 0.686)
O (0.287, 0.454, 0.471)
O (0.321, 0.488, 0.755)
Na (0.668, 0.321, 0.332)
Si (0.962, 0.333, 0.583)
O (0.183, 0.490, 0.255)
O (0.535, 0.699, 0.253)
O (0.473, 0.113, 0.636)
O (0.107, 0.478, 0.864)
O (0.484, 0.312, 0.746)
O (0.957, 0.790, 0.806)
O (0.857, 0.345, 0.923)
Na (0.967, 0.287, 0.417)
O (0.194, 0.015, 0.586)
O (0.650, 0.151, 0.420)
O (0.179, 0.164, 0.086)
O (0.156, 0.511, 0.577)
Si (0.970, 0.636, 0.083)
Sn (0.331, 0.654, 0.518)
O (0.510, 0.869, 0.075)
Sn (0.663, 0.358, 0.984)
O (0.497, 0.872, 0.359)
Sn (0.002, 0.991, 0.852)
Si (0.340, 0.372, 0.417)
S (0.669, 0.631, 0.583)
O (0.696, 0.151, 0.029)
S (0.041, 0.668, 0.417)
In (0.994, 0.008, 0.354)
O (0.031, 0.829, 0.690)
Si (0.374, 0.332, 0.086)
O (0.827, 0.803, 0.588)
O (0.184, 0.963, 0.198)
O (0.850, 0.306, 0.522)
O (0.877, 0.363, 0.639)
O (0.116, 0.631, 0.365)
S (0.339, 0.960, 0.917)

---

Entry 6:
A plane-wave DFT calculation with PBE was carried out for a relaxed MgCuP crystal.

Unit cell a=3.844 b=6.522 c=7.138 alpha=90.00 beta=90.00 gamma=90.00
Sites, in units of the cell vectors:
Mg (0.250, 0.531, 0.320)
Cu (0.250, 0.628, 0.939)
Mg (0.750, 0.469, 0.680)
Cu (0.750, 0.372, 0.061)
Mg (0.750, 0.969, 0.820)
P (0.250, 0.254, 0.878)
P (0.750, 0.246, 0.378)
Cu (0.750, 0.872, 0.439)
Mg (0.250, 0.031, 0.180)
Cu (0.250, 0.128, 0.561)
P (0.750, 0.746, 0.122)
P (0.250, 0.754, 0.622)

---

Entry 7:
A plane-wave DFT calculation with PBE was carried out for a relaxed CeOs2 crystal.

Unit cell a=5.357 b=5.357 c=8.948 alpha=90.00 beta=90.00 gamma=120.00
Sites, in units of the cell vectors:
Os (0.341, 0.171, 0.250)
Ce (0.667, 0.333, 0.929)
Ce (0.667, 0.333, 0.571)
Ce (0.333, 0.667, 0.429)
Os (0.000, 0.000, 0.500)
Os (0.000, 0.000, 0.000)
Ce (0.333, 0.667, 0.071)
Os (0.829, 0.659, 0.250)
Os (0.829, 0.171, 0.250)
Os (0.171, 0.829, 0.750)
Os (0.171, 0.341, 0.750)
Os (0.659, 0.829, 0.750)

---

Entry 8:
A plane-wave DFT calculation with PBE was carried out for a relaxed SrCuAs2O7 crystal.

Unit cell a=8.381 b=5.716 c=14.046 alpha=68.24 beta=90.00 gamma=90.00
Sites, in units of the cell vectors:
Sr (0.159, 0.509, 0.283)
Sr (0.841, 0.491, 0.717)
Sr (0.659, 0.491, 0.217)
O (0.554, 0.342, 0.695)
O (0.657, 0.006, 0.347)
O (0.852, 0.859, 0.518)
As (0.967, 0.096, 0.157)
O (0.159, 0.599, 0.610)
O (0.148, 0.141, 0.482)
O (0.592, 0.222, 0.107)
As (0.033, 0.904, 0.843)
Cu (0.642, 0.825, 0.881)
As (0.819, 0.169, 0.505)
O (0.446, 0.658, 0.305)
O (0.891, 0.187, 0.030)
O (0.352, 0.141, 0.982)
O (0.408, 0.778, 0.893)
O (0.908, 0.222, 0.607)
O (0.869, 0.827, 0.235)
Sr (0.341, 0.509, 0.783)
O (0.648, 0.859, 0.018)
O (0.843, 0.006, 0.847)
As (0.181, 0.831, 0.495)
O (0.341, 0.599, 0.110)
O (0.946, 0.342, 0.195)
As (0.467, 0.904, 0.343)
O (0.841, 0.401, 0.390)
Cu (0.358, 0.175, 0.119)
Cu (0.858, 0.825, 0.381)
O (0.609, 0.187, 0.530)
O (0.631, 0.827, 0.735)
O (0.131, 0.173, 0.765)
O (0.369, 0.173, 0.265)
O (0.092, 0.778, 0.393)
O (0.659, 0.401, 0.890)
O (0.343, 0.994, 0.653)
O (0.157, 0.994, 0.153)
O (0.109, 0.813, 0.970)
As (0.681, 0.169, 0.005)
As (0.319, 0.831, 0.995)
As (0.533, 0.096, 0.657)
O (0.391, 0.813, 0.470)
Cu (0.142, 0.175, 0.619)
O (0.054, 0.658, 0.805)

---

Entry 9:
A plane-wave DFT calculation with PBE was carried out for a relaxed Na2CO3 crystal.

Unit cell a=5.273 b=5.273 c=6.402 alpha=90.00 beta=90.00 gamma=120.00
Sites, in units of the cell vectors:
Na (0.667, 0.333, 0.250)
C (0.667, 0.333, 0.750)
Na (0.333, 0.667, 0.750)
O (0.191, 0.382, 0.250)
C (0.333, 0.667, 0.250)
O (0.382, 0.191, 0.750)
O (0.618, 0.809, 0.250)
O (0.191, 0.809, 0.250)
O (0.809, 0.618, 0.750)
O (0.809, 0.191, 0.750)
Na (0.000, 0.000, 0.000)
Na (0.000, 0.000, 0.500)

---

Number 1: uncorrected energy -2.65 eV per atom, calculated volume 166.0 Å³/cell, formation energy -1242 meV/atom. Number 2: uncorrected energy -7.51 eV per atom, calculated volume 1565.9 Å³/cell, formation energy -2954 meV/atom. Number 3: uncorrected energy -5.47 eV per atom, calculated volume 786.2 Å³/cell, formation energy -2281 meV/atom. Number 4: uncorrected energy -7.28 eV per atom, calculated volume 69.2 Å³/cell, formation energy -28 meV/atom. Number 5: uncorrected energy -6.30 eV per atom, calculated volume 1589.8 Å³/cell, formation energy -2257 meV/atom. Number 6: uncorrected energy -4.13 eV per atom, calculated volume 179.0 Å³/cell, formation energy -430 meV/atom. Number 7: uncorrected energy -9.71 eV per atom, calculated volume 222.4 Å³/cell, formation energy -248 meV/atom. Number 8: uncorrected energy -6.06 eV per atom, calculated volume 624.9 Å³/cell, formation energy -1970 meV/atom. Number 9: uncorrected energy -6.17 eV per atom, calculated volume 154.2 Å³/cell, formation energy -2059 meV/atom.